12
Lattice="-2.980 1.317 6.043 0.257 -3.063 0.795 4.405 0.884 1.980" Properties=species:S:1:pos:R:3 comment="LiCrN (PBE, relaxed)" ef_ev_per_atom=-0.415 space_group="Pnma, No. 62" total_energy_ev_per_cell=-83.1 pbc="T T T"
Li 2.389 0.845 5.654
N 1.335 -0.845 5.825
N 3.342 -1.400 3.036
Cr 0.140 0.458 4.892
Li -0.706 -1.707 3.163
Li -0.594 -0.727 6.905
Cr -0.080 -0.544 1.102
N -1.659 0.538 5.782
N 0.348 -0.017 2.993
Cr 1.763 -0.318 7.716
Li 2.277 -0.135 1.913
Cr 1.543 -1.320 3.926